No. 1
{
  "formula": "La2Te6WO18",
  "functional": "PBE with a Hubbard U",
  "state": "relaxed",
  "spacegroup": "P3c1",
  "e_form_ev_per_atom": -2.0963,
  "magnetic_moment_mub_per_atom": 0.000,
  "lattice_angstrom": [[3.4607, -5.9940, 0.0000], [3.4607, 5.9940, 0.0000], [0.0000, 0.0000, 20.5550]],
  "species": ["O", "O", "O", "O", "O", "O", "O", "O", "O", "O", "O", "O", "O", "O", "O", "O", "O", "O", "O", "O", "O", "O", "O", "O", "O", "O", "O", "O", "O", "O", "O", "O", "O", "O", "O", "O", "La", "La", "La", "La", "Te", "Te", "Te", "Te", "Te", "Te", "Te", "Te", "Te", "Te", "Te", "Te", "W", "W"],
  "fractional_positions": [[0.0967, 0.6772, 0.4391], [0.4266, 0.3941, 0.6767], [0.0015, 0.2495, 0.7513], [0.9024, 0.3257, 0.5606], [0.3333, 0.6667, 0.0993], [0.4233, 0.0976, 0.5606], [0.9024, 0.5767, 0.0606], [0.5804, 0.6772, 0.9391], [0.6059, 0.5734, 0.1767], [0.7505, 0.9985, 0.2513], [0.5708, 0.9679, 0.8239], [0.9675, 0.3941, 0.1767], [0.6667, 0.3333, 0.4026], [0.0967, 0.4196, 0.9391], [0.0321, 0.6029, 0.8239], [0.6743, 0.5767, 0.5606], [0.3228, 0.9033, 0.9391], [0.6667, 0.3333, 0.9026], [0.3971, 0.9679, 0.3239], [0.4233, 0.3257, 0.0606], [0.0000, 0.0000, 0.1329], [0.2480, 0.9985, 0.7513], [0.6059, 0.0325, 0.6767], [0.5804, 0.9033, 0.4391], [0.4266, 0.0325, 0.1767], [0.0000, 0.0000, 0.6329], [0.2480, 0.2495, 0.2513], [0.3228, 0.4196, 0.4391], [0.5708, 0.6029, 0.3239], [0.3971, 0.4292, 0.8239], [0.0321, 0.4292, 0.3239], [0.7505, 0.7520, 0.7513], [0.3333, 0.6667, 0.5993], [0.6743, 0.0976, 0.0606], [0.9675, 0.5734, 0.6767], [0.0015, 0.7520, 0.2513], [0.3333, 0.6667, 0.2443], [0.6667, 0.3333, 0.7551], [0.6667, 0.3333, 0.2551], [0.3333, 0.6667, 0.7443], [0.9995, 0.6241, 0.9136], [0.3759, 0.3753, 0.9136], [0.6247, 0.0005, 0.9136], [0.3700, 0.3701, 0.5860], [0.0000, 0.6300, 0.5860], [0.9995, 0.3753, 0.4136], [0.3700, 0.0000, 0.0860], [0.6299, 0.0000, 0.5860], [0.0000, 0.3701, 0.0860], [0.3759, 0.0005, 0.4136], [0.6299, 0.6300, 0.0860], [0.6247, 0.6241, 0.4136], [0.0000, 0.0000, 0.2218], [0.0000, 0.0000, 0.7218]]
}

No. 2
{
  "formula": "Li2Mn3F8",
  "functional": "PBE with a Hubbard U",
  "state": "relaxed",
  "spacegroup": "P4_332",
  "e_form_ev_per_atom": -2.9960,
  "e_ij_max_c_m2": 0.0,
  "magnetic_moment_mub_per_atom": 1.154,
  "lattice_angstrom": [[8.8420, 0.0000, 0.0000], [0.0000, 8.8420, 0.0000], [0.0000, 0.0000, 8.8420]],
  "species": ["F", "F", "F", "F", "F", "F", "F", "F", "F", "F", "F", "F", "F", "F", "F", "F", "F", "F", "F", "F", "F", "F", "F", "F", "F", "F", "F", "F", "F", "F", "F", "F", "Mn", "Mn", "Mn", "Mn", "Mn", "Mn", "Mn", "Mn", "Mn", "Mn", "Mn", "Mn", "Li", "Li", "Li", "Li", "Li", "Li", "Li", "Li"],
  "fractional_positions": [[0.1087, 0.1173, 0.8643], [0.6173, 0.6357, 0.8913], [0.8857, 0.3673, 0.8587], [0.6087, 0.3827, 0.1357], [0.1471, 0.3529, 0.6471], [0.1327, 0.1413, 0.3857], [0.1143, 0.8673, 0.6413], [0.8971, 0.1029, 0.6029], [0.6327, 0.3587, 0.6143], [0.8673, 0.6413, 0.1143], [0.1173, 0.8643, 0.1087], [0.8913, 0.6173, 0.6357], [0.3587, 0.6143, 0.6327], [0.6029, 0.8971, 0.1029], [0.8587, 0.8857, 0.3673], [0.6471, 0.1471, 0.3529], [0.3673, 0.8587, 0.8857], [0.6357, 0.8913, 0.6173], [0.3643, 0.3913, 0.8827], [0.3529, 0.6471, 0.1471], [0.1029, 0.6029, 0.8971], [0.3913, 0.8827, 0.3643], [0.3971, 0.3971, 0.3971], [0.8643, 0.1087, 0.1173], [0.1357, 0.6087, 0.3827], [0.8529, 0.8529, 0.8529], [0.8827, 0.3643, 0.3913], [0.1413, 0.3857, 0.1327], [0.3857, 0.1327, 0.1413], [0.6143, 0.6327, 0.3587], [0.6413, 0.1143, 0.8673], [0.3827, 0.1357, 0.6087], [0.6500, 0.4000, 0.3750], [0.1000, 0.6250, 0.1500], [0.3500, 0.9000, 0.1250], [0.8500, 0.6000, 0.8750], [0.1500, 0.1000, 0.6250], [0.8750, 0.8500, 0.6000], [0.9000, 0.1250, 0.3500], [0.1250, 0.3500, 0.9000], [0.4000, 0.3750, 0.6500], [0.6250, 0.1500, 0.1000], [0.6000, 0.8750, 0.8500], [0.3750, 0.6500, 0.4000], [0.2357, 0.7357, 0.7643], [0.9857, 0.9857, 0.9857], [0.5143, 0.0143, 0.4857], [0.0143, 0.4857, 0.5143], [0.7643, 0.2357, 0.7357], [0.4857, 0.5143, 0.0143], [0.2643, 0.2643, 0.2643], [0.7357, 0.7643, 0.2357]]
}

No. 3
{
  "formula": "SrPrCoRuO6",
  "functional": "PBE with a Hubbard U",
  "state": "relaxed",
  "spacegroup": "Pc",
  "e_form_ev_per_atom": -2.3357,
  "magnetic_moment_mub_per_atom": 0.400,
  "lattice_angstrom": [[-3.6096, 1.0851, -4.2260], [2.5832, -3.8281, -3.1893], [-2.3227, -9.4121, -0.4328]],
  "species": ["O", "O", "O", "O", "O", "O", "O", "O", "O", "O", "O", "O", "Ru", "Ru", "Sr", "Sr", "Pr", "Pr", "Co", "Co"],
  "fractional_positions": [[0.2377, 0.3281, 0.7570], [0.9505, 0.7555, 0.4576], [0.0495, 0.7555, 0.9576], [0.5254, 0.8251, 0.9620], [0.5370, 0.2392, 0.5359], [0.4746, 0.8251, 0.4620], [0.2707, 0.6926, 0.2431], [0.4630, 0.2392, 0.0359], [0.7623, 0.3281, 0.2570], [0.0388, 0.1546, 0.5432], [0.9612, 0.1546, 0.0432], [0.7293, 0.6926, 0.7431], [0.7519, 0.0006, 0.4998], [0.2481, 0.0006, 0.9998], [0.2154, 0.2455, 0.2494], [0.7846, 0.2455, 0.7494], [0.7023, 0.7586, 0.2518], [0.2977, 0.7586, 0.7518], [0.7541, 0.5002, 0.0002], [0.2459, 0.5002, 0.5002]]
}

No. 4
{
  "formula": "CaLaCrBiO6",
  "functional": "PBE with a Hubbard U",
  "state": "relaxed",
  "spacegroup": "F-43m",
  "e_form_ev_per_atom": -2.4140,
  "magnetic_moment_mub_per_atom": 0.385,
  "lattice_angstrom": [[3.9088, 4.0178, -1.6312], [-1.4470, 4.0438, -3.9543], [-0.6799, 5.5645, 1.6297]],
  "species": ["O", "O", "O", "O", "O", "O", "Cr", "Ca", "La", "Bi"],
  "fractional_positions": [[0.7392, 0.2608, 0.2608], [0.2608, 0.7392, 0.7392], [0.2608, 0.7392, 0.2608], [0.2608, 0.2608, 0.7392], [0.7392, 0.7392, 0.2608], [0.7392, 0.2608, 0.7392], [0.5000, 0.5000, 0.5000], [0.2500, 0.2500, 0.2500], [0.7500, 0.7500, 0.7500], [0.0000, 0.0000, 0.0000]]
}